(1)
The following is a PBE+U calculation of a geometry-optimized Li2VF5 structure, from Materials Project.

Energy relative to the lowest polymorph listed for this composition in eV/atom: 0.0723
ΔE_f in eV per atom: -3.1345

The structure in POSCAR format:
```
Li2VF5
1.0
-4.526 2.595 0.976
-5.554 -5.416 -11.359
-5.463 -11.895 6.295
Li V F
24 12 60
Direct
0.305 0.571 0.024 Li
0.195 0.071 0.024 Li
0.700 0.715 0.073 Li
0.800 0.215 0.073 Li
0.206 0.613 0.235 Li
0.294 0.113 0.235 Li
0.788 0.745 0.288 Li
0.712 0.245 0.288 Li
0.264 0.940 0.380 Li
0.236 0.440 0.380 Li
0.702 0.557 0.423 Li
0.798 0.057 0.423 Li
0.202 0.943 0.577 Li
0.298 0.443 0.577 Li
0.764 0.560 0.620 Li
0.736 0.060 0.620 Li
0.288 0.755 0.712 Li
0.212 0.255 0.712 Li
0.706 0.887 0.765 Li
0.794 0.387 0.765 Li
0.200 0.785 0.927 Li
0.300 0.285 0.927 Li
0.805 0.929 0.976 Li
0.695 0.429 0.976 Li
0.285 0.849 0.131 V
0.215 0.349 0.131 V
0.746 0.989 0.208 V
0.754 0.489 0.208 V
0.246 0.680 0.455 V
0.254 0.180 0.455 V
0.746 0.820 0.545 V
0.754 0.320 0.545 V
0.246 0.511 0.792 V
0.254 0.011 0.792 V
0.785 0.651 0.869 V
0.715 0.151 0.869 V
0.533 0.851 0.035 F
0.037 0.827 0.035 F
0.967 0.351 0.035 F
0.463 0.327 0.035 F
0.337 0.705 0.143 F
0.163 0.205 0.143 F
0.609 0.504 0.085 F
0.891 0.004 0.085 F
0.114 0.500 0.133 F
0.386 0.000 0.133 F
0.997 0.855 0.214 F
0.503 0.355 0.214 F
0.540 0.854 0.228 F
0.960 0.354 0.228 F
0.814 0.635 0.190 F
0.686 0.135 0.190 F
0.454 0.517 0.281 F
0.919 0.496 0.330 F
0.046 0.017 0.281 F
0.581 0.996 0.330 F
0.090 0.682 0.334 F
0.559 0.695 0.382 F
0.410 0.182 0.334 F
0.941 0.195 0.382 F
0.312 0.538 0.460 F
0.976 0.820 0.437 F
0.188 0.038 0.460 F
0.524 0.320 0.437 F
0.437 0.858 0.480 F
0.063 0.358 0.480 F
0.937 0.642 0.520 F
0.563 0.142 0.520 F
0.476 0.680 0.563 F
0.812 0.962 0.540 F
0.024 0.180 0.563 F
0.688 0.462 0.540 F
0.059 0.805 0.618 F
0.590 0.818 0.666 F
0.441 0.305 0.618 F
0.910 0.318 0.666 F
0.419 0.004 0.670 F
0.954 0.983 0.719 F
0.081 0.504 0.670 F
0.546 0.483 0.719 F
0.314 0.865 0.810 F
0.186 0.365 0.810 F
0.040 0.646 0.772 F
0.460 0.146 0.772 F
0.497 0.645 0.786 F
0.003 0.145 0.786 F
0.614 0.000 0.867 F
0.886 0.500 0.867 F
0.109 0.996 0.915 F
0.391 0.496 0.915 F
0.837 0.795 0.857 F
0.663 0.295 0.857 F
0.537 0.673 0.965 F
0.033 0.649 0.965 F
0.963 0.173 0.965 F
0.467 0.149 0.965 F
```

---

(2)
The following is a PBE+U calculation of a geometry-optimized Sr2NiClO3 structure, from Materials Project.

Energy relative to the lowest polymorph listed for this composition in eV/atom: 0.0000
ΔE_f in eV per atom: -2.2566

The structure in POSCAR format:
```
Sr2NiClO3
1.0
-2.320 2.860 1.309
-1.586 -2.467 2.583
20.340 7.502 19.658
Sr Ni Cl O
8 4 4 12
Direct
0.250 0.250 0.452 Sr
0.250 0.250 0.952 Sr
0.750 0.750 0.048 Sr
0.750 0.750 0.548 Sr
0.250 0.250 0.330 Sr
0.250 0.250 0.830 Sr
0.750 0.750 0.170 Sr
0.750 0.750 0.670 Sr
0.750 0.750 0.896 Ni
0.250 0.250 0.104 Ni
0.750 0.750 0.396 Ni
0.250 0.250 0.604 Ni
0.750 0.750 0.289 Cl
0.750 0.750 0.789 Cl
0.250 0.250 0.211 Cl
0.250 0.250 0.711 Cl
0.750 0.750 0.463 O
0.750 0.750 0.963 O
0.250 0.250 0.037 O
0.250 0.250 0.537 O
0.250 0.750 0.386 O
0.250 0.750 0.886 O
0.750 0.250 0.386 O
0.750 0.250 0.886 O
0.750 0.250 0.114 O
0.750 0.250 0.614 O
0.250 0.750 0.114 O
0.250 0.750 0.614 O
```

---

(3)
The following is a PBE+U calculation of a geometry-optimized LiMn2NiO6 structure, from Materials Project.

Energy relative to the lowest polymorph listed for this composition in eV/atom: 0.0121
ΔE_f in eV per atom: -1.6893

The structure in POSCAR format:
```
LiMn2NiO6
1.0
-2.916 0.000 0.000
-0.155 -5.894 0.000
1.418 1.681 6.176
Li Mn Ni O
1 2 1 6
Direct
0.500 0.500 0.500 Li
0.178 0.321 0.837 Mn
0.822 0.679 0.163 Mn
0.500 0.000 0.500 Ni
0.946 0.758 0.469 O
0.327 0.455 0.152 O
0.054 0.242 0.531 O
0.324 0.897 0.189 O
0.673 0.545 0.848 O
0.676 0.103 0.811 O
```

---

(4)
The following is a PBE+U calculation of a geometry-optimized Zn2Ni3O8 structure, from Materials Project.

Energy relative to the lowest polymorph listed for this composition in eV/atom: 0.0000
ΔE_f in eV per atom: -1.0295

The structure in POSCAR format:
```
Zn2Ni3O8
1.0
2.825 4.915 0.000
-2.825 4.915 0.000
0.000 1.242 4.677
Zn Ni O
2 3 8
Direct
0.709 0.709 0.376 Zn
0.291 0.291 0.624 Zn
0.000 0.000 0.500 Ni
0.748 0.252 0.000 Ni
0.252 0.748 0.000 Ni
0.390 0.390 0.929 O
0.610 0.610 0.071 O
0.899 0.899 0.886 O
0.101 0.101 0.114 O
0.339 0.888 0.623 O
0.888 0.339 0.623 O
0.112 0.661 0.377 O
0.661 0.112 0.377 O
```

---

(5)
The following is a PBE+U calculation of a geometry-optimized Cr3Fe2O8 structure, from Materials Project.

ΔE_f in eV per atom: -1.9245

The structure in POSCAR format:
```
Cr3Fe2O8
1.0
3.791 -4.240 1.845
-0.234 -1.971 5.640
-1.980 -5.475 1.174
Cr Fe O
3 2 8
Direct
0.622 0.139 0.617 Cr
0.139 0.622 0.617 Cr
0.622 0.622 0.617 Cr
0.002 0.002 0.995 Fe
0.622 0.622 0.134 Fe
0.833 0.384 0.400 O
0.384 0.384 0.400 O
0.384 0.833 0.400 O
0.392 0.392 0.825 O
0.868 0.868 0.397 O
0.868 0.398 0.866 O
0.398 0.868 0.866 O
0.868 0.868 0.866 O
```

---

(6)
The following is a PBE+U calculation of a geometry-optimized BaEuFe2O5 structure, from Materials Project.

Energy relative to the lowest polymorph listed for this composition in eV/atom: 0.0000
ΔE_f in eV per atom: -2.3736

The structure in POSCAR format:
```
BaEuFe2O5
1.0
-3.132 -0.271 2.451
2.463 -0.522 3.090
0.215 7.655 1.122
Ba Eu Fe O
1 1 2 5
Direct
0.000 0.000 0.000 Ba
0.000 0.000 0.500 Eu
0.500 0.500 0.257 Fe
0.500 0.500 0.743 Fe
0.500 0.000 0.701 O
0.500 0.000 0.299 O
0.000 0.500 0.701 O
0.000 0.500 0.299 O
0.500 0.500 0.000 O
```

---

(7)
The following is a PBE+U calculation of a geometry-optimized Nd5Te7WCl3O23 structure, from Materials Project.

ΔE_f in eV per atom: -2.3403

The structure in POSCAR format:
```
Nd5Te7WCl3O23
1.0
9.264 3.861 0.000
-9.264 3.861 0.000
0.000 2.231 18.393
Nd Te W Cl O
10 14 2 6 46
Direct
0.240 0.760 0.500 Nd
0.757 0.243 0.500 Nd
0.745 0.523 0.862 Nd
0.523 0.745 0.863 Nd
0.255 0.477 0.137 Nd
0.477 0.255 0.138 Nd
0.181 0.701 0.738 Nd
0.701 0.183 0.738 Nd
0.817 0.299 0.262 Nd
0.299 0.819 0.262 Nd
0.300 0.959 0.890 Te
0.959 0.300 0.890 Te
0.700 0.041 0.110 Te
0.041 0.700 0.110 Te
0.406 0.162 0.614 Te
0.163 0.407 0.615 Te
0.593 0.837 0.385 Te
0.838 0.594 0.386 Te
0.996 0.996 0.763 Te
0.004 0.004 0.237 Te
0.850 0.637 0.642 Te
0.634 0.848 0.643 Te
0.152 0.366 0.357 Te
0.363 0.150 0.358 Te
0.266 0.266 0.978 W
0.734 0.734 0.022 W
0.697 0.303 0.000 Cl
0.303 0.697 0.000 Cl
0.437 0.438 0.714 Cl
0.562 0.563 0.286 Cl
0.499 0.501 0.500 Cl
0.031 0.969 0.500 Cl
0.097 0.817 0.830 O
0.817 0.097 0.830 O
0.903 0.183 0.170 O
0.183 0.903 0.170 O
0.825 0.518 0.733 O
0.517 0.824 0.734 O
0.176 0.483 0.266 O
0.482 0.175 0.267 O
0.430 0.066 0.535 O
0.066 0.426 0.535 O
0.574 0.934 0.465 O
0.934 0.570 0.465 O
0.487 0.487 0.924 O
0.513 0.513 0.076 O
0.415 0.897 0.836 O
0.897 0.414 0.836 O
0.586 0.103 0.164 O
0.103 0.585 0.164 O
0.112 0.112 0.913 O
0.888 0.888 0.087 O
0.684 0.357 0.609 O
0.358 0.685 0.609 O
0.315 0.642 0.391 O
0.643 0.316 0.391 O
0.405 0.027 0.691 O
0.027 0.405 0.691 O
0.595 0.973 0.309 O
0.973 0.595 0.309 O
0.144 0.307 0.032 O
0.307 0.144 0.032 O
0.856 0.693 0.968 O
0.693 0.856 0.968 O
0.480 0.206 0.841 O
0.206 0.480 0.841 O
0.520 0.794 0.159 O
0.794 0.520 0.159 O
0.039 0.892 0.692 O
0.891 0.038 0.692 O
0.962 0.109 0.308 O
0.108 0.961 0.308 O
0.075 0.704 0.614 O
0.706 0.075 0.613 O
0.925 0.294 0.387 O
0.296 0.925 0.386 O
0.764 0.764 0.811 O
0.236 0.236 0.189 O
```

---

(8)
The following is a PBE+U calculation of a geometry-optimized MgMn3HO6 structure, from Materials Project.

ΔE_f in eV per atom: -1.9928

The structure in POSCAR format:
```
MgMn3HO6
1.0
0.537 -2.792 0.987
-3.176 0.811 4.039
-5.638 -1.146 -4.687
Mg Mn H O
1 3 1 6
Direct
0.832 0.969 0.632 Mg
0.016 0.978 0.016 Mn
0.372 0.472 0.721 Mn
0.654 0.492 0.294 Mn
0.203 0.926 0.364 H
0.576 0.815 0.136 O
0.435 0.115 0.851 O
0.105 0.280 0.195 O
0.919 0.683 0.816 O
0.252 0.812 0.469 O
0.794 0.335 0.563 O
```

---

(9)
The following is a PBE+U calculation of a geometry-optimized La2TiCrO6 structure, from Materials Project.

Energy relative to the lowest polymorph listed for this composition in eV/atom: 0.0012
ΔE_f in eV per atom: -3.3998

The structure in POSCAR format:
```
La2TiCrO6
1.0
-0.799 2.082 -5.193
-10.681 -3.013 0.462
-1.634 7.261 3.094
La Ti Cr O
8 4 4 24
Direct
0.002 0.250 0.251 La
0.508 0.489 0.747 La
0.007 0.754 0.252 La
0.501 0.000 0.751 La
0.992 0.761 0.753 La
0.498 0.001 0.249 La
0.999 0.250 0.749 La
0.493 0.496 0.248 La
0.000 0.002 0.000 Ti
0.500 0.248 0.500 Ti
0.001 0.501 0.000 Ti
0.499 0.749 0.500 Ti
0.998 0.001 0.499 Cr
0.502 0.249 0.001 Cr
0.001 0.502 0.502 Cr
0.499 0.748 0.998 Cr
0.708 0.613 0.549 O
0.210 0.862 0.042 O
0.716 0.108 0.538 O
0.224 0.358 0.052 O
0.225 0.643 0.454 O
0.719 0.895 0.958 O
0.213 0.143 0.464 O
0.722 0.387 0.957 O
0.094 0.478 0.770 O
0.592 0.752 0.267 O
0.074 0.002 0.747 O
0.577 0.248 0.249 O
0.781 0.355 0.542 O
0.275 0.607 0.046 O
0.778 0.863 0.543 O
0.287 0.108 0.036 O
0.908 0.498 0.233 O
0.406 0.772 0.730 O
0.923 0.002 0.251 O
0.426 0.248 0.753 O
0.290 0.388 0.458 O
0.792 0.637 0.951 O
0.276 0.892 0.448 O
0.784 0.141 0.962 O
```

---

(10)
The following is a PBE+U calculation of a geometry-optimized LiMn2O3F structure, from Materials Project.

Energy relative to the lowest polymorph listed for this composition in eV/atom: 0.0232
ΔE_f in eV per atom: -2.2948

The structure in POSCAR format:
```
LiMn2O3F
1.0
5.141 -3.073 0.000
5.141 3.073 0.000
3.304 0.000 4.996
Li Mn O F
2 4 6 2
Direct
0.106 0.106 0.106 Li
0.894 0.894 0.894 Li
0.500 0.000 0.500 Mn
0.500 0.500 0.500 Mn
0.500 0.500 0.000 Mn
0.000 0.500 0.500 Mn
0.742 0.742 0.305 O
0.742 0.305 0.742 O
0.305 0.742 0.742 O
0.695 0.258 0.258 O
0.258 0.258 0.695 O
0.258 0.695 0.258 O
0.763 0.763 0.763 F
0.237 0.237 0.237 F
```

---

(11)
The following is a PBE+U calculation of a geometry-optimized BaYCrCuO5 structure, from Materials Project.

ΔE_f in eV per atom: -2.6071

The structure in POSCAR format:
```
BaYCrCuO5
1.0
3.916 0.001 0.000
0.001 3.916 0.000
0.000 0.000 7.770
Ba Y Cr Cu O
1 1 1 1 5
Direct
0.000 0.000 0.985 Ba
0.000 0.000 0.463 Y
0.500 0.500 0.700 Cr
0.500 0.500 0.248 Cu
0.000 0.500 0.645 O
0.500 0.000 0.645 O
0.000 0.500 0.279 O
0.500 0.000 0.279 O
0.500 0.500 0.944 O
```

---

(12)
The following is a PBE+U calculation of a geometry-optimized MgFe6O6F6 structure, from Materials Project.

Energy relative to the lowest polymorph listed for this composition in eV/atom: 0.0302
ΔE_f in eV per atom: -2.1135

The structure in POSCAR format:
```
MgFe6O6F6
1.0
5.044 0.120 0.000
0.349 14.558 0.000
0.000 0.000 3.073
Mg Fe O F
1 6 6 6
Direct
0.541 0.994 0.000 Mg
0.047 0.017 0.000 Fe
0.028 0.349 0.000 Fe
0.005 0.659 0.000 Fe
0.520 0.169 0.500 Fe
0.454 0.501 0.500 Fe
0.417 0.815 0.500 Fe
0.174 0.603 0.500 O
0.287 0.947 0.500 O
0.338 0.117 0.000 O
0.244 0.766 0.000 O
0.321 0.440 0.000 O
0.772 0.051 0.500 O
0.236 0.274 0.500 F
0.726 0.232 0.000 F
0.683 0.568 0.000 F
0.682 0.868 0.000 F
0.796 0.406 0.500 F
0.757 0.721 0.500 F
```

---

Q: The highest ΔE_f belongs to which entry?
A: Zn2Ni3O8

---

Q: Among the records above, which one has the lowest ΔE_f?
A: La2TiCrO6

---

Q: Number 12 is which compound?
A: MgFe6O6F6

---

Q: Look up the ΔE_f of the first one.
A: -3.1345 eV per atom